Crystalline Li4ZrGe2 at its relaxed geometry. Source: the Materials Project database, functional PBE. Values from VASP.

Values from the calculation:
- SG: No. 166
- Formation enthalpy at 0 K: -0.4 eV per formula unit
- Mass density: 3.57 g/cm³
- Total magnetization: 0.002 μB per cell
- E: -3.69 eV per atom

```
&SYSTEM
  ibrav = 0, nat = 7, ntyp = 3
/
ATOMIC_SPECIES
Li 6.94 Li.upf
Zr 91.22 Zr.upf
Ge 72.64 Ge.upf
CELL_PARAMETERS angstrom
-3.641 -6.441 -1.774
-1.308 -5.231 -5.367
0.720 -7.308 -1.992
ATOMIC_POSITIONS angstrom
Li -0.314 -1.408 -0.678
Li -1.063 -4.772 -2.296
Li -3.166 -14.207 -6.837
Li -3.916 -17.571 -8.456
Zr -2.115 -9.490 -4.567
Ge -2.640 -11.848 -5.702
Ge -1.589 -7.131 -3.432
```

Crystalline LiZr4Ge at its relaxed geometry. Source: the Materials Project database, functional PBE. Values from VASP.

Values from the calculation:
- SG: No. 6
- Formation enthalpy at 0 K: -1.0 eV per formula unit
- Mass density: 6.02 g/cm³
- Total magnetization: 0.002 μB per cell
- E: -6.95 eV per atom

```
&SYSTEM
  ibrav = 0, nat = 6, ntyp = 3
/
ATOMIC_SPECIES
Zr 91.22 Zr.upf
Ge 72.64 Ge.upf
Li 6.94 Li.upf
CELL_PARAMETERS angstrom
3.564 1.700 2.068
1.279 -3.722 0.854
2.845 1.702 -6.303
ATOMIC_POSITIONS angstrom
Zr 3.027 -2.419 -0.826
Zr 3.732 -1.526 2.028
Zr 4.615 2.107 -2.479
Zr 3.993 1.199 -5.466
Ge 4.180 0.291 -0.238
Li 3.519 -0.609 -3.162
```

Crystalline LuGe2 at its relaxed geometry. Source: the Materials Project database, functional PBE. Values from VASP.

Values from the calculation:
- SG: No. 63
- Formation enthalpy at 0 K: -1.7 eV per formula unit
- Mass density: 8.73 g/cm³
- E: -5.17 eV per atom

```
&SYSTEM
  ibrav = 0, nat = 6, ntyp = 2
/
ATOMIC_SPECIES
Ge 72.64 Ge.upf
Lu 174.97 Lu.upf
CELL_PARAMETERS angstrom
-3.199 3.229 6.597
1.488 0.206 -7.869
-3.319 -1.904 -0.677
ATOMIC_POSITIONS angstrom
Ge -1.948 1.411 0.007
Ge -3.081 0.120 -1.956
Ge -4.504 1.038 2.436
Ge -0.525 0.494 -4.385
Lu -1.481 -0.912 -6.897
Lu -3.549 2.444 4.947
```

Crystalline Lu2Ge3 at its relaxed geometry. Source: the Materials Project database, functional PBE. Values from VASP.

Values from the calculation:
- SG: No. 38
- Formation enthalpy at 0 K: -2.1 eV per formula unit
- Mass density: 8.44 g/cm³
- Total magnetization: 0.003 μB per cell
- E: -5.00 eV per atom

```
&SYSTEM
  ibrav = 0, nat = 5, ntyp = 2
/
ATOMIC_SPECIES
Lu 174.97 Lu.upf
Ge 72.64 Ge.upf
CELL_PARAMETERS angstrom
-2.163 -3.771 0.000
-2.164 3.771 0.000
0.000 0.000 -6.849
ATOMIC_POSITIONS angstrom
Lu -2.163 -3.771 -3.282
Lu -2.163 -3.771 -0.142
Ge -2.164 1.256 -5.137
Ge -2.163 -1.258 -1.712
Ge -2.163 -1.255 -5.137
```

Crystalline Lu3Ge4 at its relaxed geometry. Source: the Materials Project database, functional PBE. Values from VASP.

Values from the calculation:
- SG: No. 63
- Formation enthalpy at 0 K: -5.1 eV per formula unit
- Mass density: 9.07 g/cm³
- E: -5.30 eV per atom

```
&SYSTEM
  ibrav = 0, nat = 14, ntyp = 2
/
ATOMIC_SPECIES
Ge 72.64 Ge.upf
Lu 174.97 Lu.upf
CELL_PARAMETERS angstrom
-1.101 -0.494 -5.506
-2.238 -1.625 4.912
-7.643 11.915 0.460
ATOMIC_POSITIONS angstrom
Ge -3.898 1.603 2.729
Ge 0.000 0.000 0.000
Ge -4.802 3.474 1.137
Ge -2.632 0.092 1.006
Ge -6.180 6.322 -1.271
Ge -7.084 8.193 -2.863
Ge -3.822 5.958 0.230
Ge -8.350 9.704 -1.140
Lu -8.761 9.507 1.872
Lu -2.221 0.289 -2.006
Lu -7.915 7.366 4.748
Lu -6.425 5.866 1.731
Lu -4.557 3.930 -1.865
Lu -3.068 2.430 -4.882
```

Crystalline Lu2MgGe2 at its relaxed geometry. Source: the Materials Project database, functional PBE. Values from VASP.

Values from the calculation:
- SG: No. 127
- Formation enthalpy at 0 K: -3.6 eV per formula unit
- Mass density: 8.10 g/cm³
- E: -4.70 eV per atom

```
&SYSTEM
  ibrav = 0, nat = 10, ntyp = 3
/
ATOMIC_SPECIES
Lu 174.97 Lu.upf
Mg 24.30 Mg.upf
Ge 72.64 Ge.upf
CELL_PARAMETERS angstrom
-6.712 -2.047 1.345
0.836 -5.604 -4.353
1.344 -2.296 3.213
ATOMIC_POSITIONS angstrom
Lu -0.809 -6.422 -1.542
Lu -0.245 -3.320 0.438
Lu -4.287 -6.626 -0.233
Lu -3.724 -3.524 1.747
Mg -2.938 -3.825 -1.504
Mg 0.000 0.000 0.000
Ge -2.412 -1.468 -0.040
Ge -5.560 -3.892 -0.455
Ge -3.464 -6.182 -2.968
Ge -0.317 -3.759 -2.553
```

Crystalline LuMn6Ge6 at its relaxed geometry. Source: the Materials Project database, functional PBE. Values from VASP.

Values from the calculation:
- SG: No. 191
- Formation enthalpy at 0 K: -4.2 eV per formula unit
- Mass density: 8.34 g/cm³
- E: -7.03 eV per atom

```
&SYSTEM
  ibrav = 0, nat = 13, ntyp = 3
/
ATOMIC_SPECIES
Mn 54.94 Mn.upf
Ge 72.64 Ge.upf
Lu 174.97 Lu.upf
CELL_PARAMETERS angstrom
-5.040 -0.494 -0.990
3.120 -4.092 -0.392
-1.358 -1.783 7.807
ATOMIC_POSITIONS angstrom
Mn -1.979 -3.631 5.165
Mn -1.300 -2.739 1.260
Mn 1.221 -2.491 1.755
Mn -3.539 -1.585 5.361
Mn -2.860 -0.693 1.456
Mn 0.541 -3.384 5.660
Ge 0.400 -2.893 -0.591
Ge -0.213 -0.280 1.227
Ge -2.320 -1.693 -0.791
Ge -1.145 -1.503 6.579
Ge -2.999 -2.585 3.113
Ge -0.279 -3.784 3.312
Lu -0.679 -0.892 3.903
```

Crystalline LuMn2Ge2 at its relaxed geometry. Source: the Materials Project database, functional PBE. Values from VASP.

Values from the calculation:
- SG: No. 139
- Formation enthalpy at 0 K: -2.3 eV per formula unit
- Mass density: 8.71 g/cm³
- E: -6.87 eV per atom

```
&SYSTEM
  ibrav = 0, nat = 5, ntyp = 3
/
ATOMIC_SPECIES
Ge 72.64 Ge.upf
Mn 54.94 Mn.upf
Lu 174.97 Lu.upf
CELL_PARAMETERS angstrom
-0.268 -5.539 2.447
-5.057 -2.977 1.519
2.558 3.150 -4.503
ATOMIC_POSITIONS angstrom
Ge -3.286 -5.256 2.447
Ge -2.039 -3.261 1.518
Mn -2.581 -2.043 -0.501
Mn -0.186 -3.324 -0.037
Lu 0.000 0.000 0.000
```